The following is a PBE calculation of crystalline CaRuN2 at its relaxed geometry, from Materials Project.

Geometry as extended XYZ:
```
64
Lattice="-3.7612 3.9175 -0.7897 -2.8686 -4.6321 -9.3161 -10.4740 -8.5490 7.4758" Properties=species:S:1:pos:R:3 pbc="T T T"
N -6.3814 -1.8732 -5.7123
N -3.7331 -2.8646 -7.0729
Ca -13.8974 -7.4217 1.8103
N -8.1556 -6.7937 -5.8314
N -15.0235 -8.4873 -0.2610
N -5.3002 0.8106 -1.1284
N -8.9482 -2.4698 3.2015
N -5.1329 -2.5466 0.4893
Ca -9.8354 -8.3641 -5.2231
Ru -12.3512 -10.8700 0.1817
Ru -6.7902 -3.5504 0.3799
N -9.9103 -4.4128 -4.4010
Ca -4.3605 -1.3346 -1.5410
Ca -8.1959 -6.2618 -0.5220
Ru -5.2375 -1.6985 -7.2703
Ca -9.6244 -8.8771 -1.5779
Ca -12.7432 -7.9290 -1.0890
Ru -9.8287 -2.4082 1.4489
N -10.4375 -7.0599 -0.0941
N -10.8897 -4.0331 1.4646
Ca -4.5809 -4.9150 -5.9441
N -6.4376 -4.7732 -1.1138
N -11.9709 -6.7169 -3.1193
N -6.3746 -4.6813 -7.6449
Ca -7.6997 -3.9669 -5.4552
N -2.0803 -0.7762 -2.3689
N -4.7867 0.0680 -4.0293
N -7.1935 -4.8508 1.7710
N -7.9679 -5.8223 4.7813
Ru -4.1170 -1.8519 1.9591
N -12.3171 -9.3315 1.3993
N -9.1359 -3.4413 -7.4112
Ca -1.5669 0.2605 0.2609
N -10.7291 -4.5823 5.0150
Ru -10.6830 -8.2725 1.3809
Ru -7.2751 -6.8553 -4.0788
N -10.7224 -7.3903 3.0824
Ru -6.4207 -0.9911 -4.0108
N -11.8036 -10.0741 -1.5015
N -6.2141 -5.2304 -4.0946
N -8.2575 -2.3243 0.3029
N -6.5047 -1.9525 -8.7469
Ca -15.5369 -9.5240 -2.8908
N -8.8463 -6.9392 -2.9329
N -13.3706 -6.3989 4.4429
N -3.9050 -3.4436 -2.7695
Ru -10.3135 -5.7131 -3.0098
Ru -4.7750 1.1047 0.6916
N -13.1988 -5.8199 0.1396
Ca -12.5228 -4.3485 3.3142
N -10.5991 -7.3110 6.1169
N -10.6662 -4.4903 -1.5162
Ru -11.8663 -7.5651 4.6404
Ca -9.4040 -5.2967 2.8252
Ru -11.3410 -5.3158 0.1134
N -6.6662 -2.2036 -2.5358
Ru -5.7628 -3.9477 -2.7433
Ca -7.2683 -0.8994 2.5932
Ca -8.9079 -3.0017 -2.1080
Ca -7.4793 -0.3865 -1.0520
Ca -3.2064 -1.8418 -4.4403
Ru -4.7526 1.6065 -2.8116
Ru -12.3288 -10.3683 -3.3215
Ru -12.9868 -7.4116 -4.5890
```

Calculated formation energy = -0.400 eV per atom
Total magnetization = 0.002 μB per cell
Symmetry = Pbca, No. 61
Polymorph energy (0 for the lowest one) = 0.0091 eV/atom

The following is a PBE calculation of crystalline Ca7SN6 at its relaxed geometry, from Materials Project.

Geometry as extended XYZ:
```
56
Lattice="-5.5357 0.4226 -10.7680 2.2604 -5.7917 -1.3894 -10.1893 -5.1845 5.0348" Properties=species:S:1:pos:R:3 pbc="T T T"
Ca -10.7511 -9.2133 -5.4446
N -7.6156 -8.9045 1.4904
Ca -11.5668 -6.3414 -4.1382
Ca -1.6883 -3.4972 0.7307
Ca -1.9703 -0.9840 -4.9449
N -6.2721 -5.6172 -9.2861
N -0.4626 -2.2135 -1.5503
N -12.7462 -5.5501 -2.1815
S -0.5051 -6.5289 0.0034
N -9.8280 -5.9261 0.0800
N -13.0021 -8.3401 -5.5724
Ca -6.2406 -7.4790 2.9147
N -6.1000 -6.9332 -5.6526
Ca -2.7136 -1.3404 -1.6780
Ca -5.7086 -7.0516 -3.2612
Ca -9.3821 -8.3284 0.2233
N -7.1926 -4.9365 2.1635
Ca -6.0309 -4.8796 -6.9268
N -3.6366 -4.6275 -7.2026
N -9.7789 -8.1037 -3.4464
Ca -4.0826 -2.2252 -7.3460
Ca -11.4944 -9.5696 -2.1777
Ca -1.8979 -4.2122 -2.9844
S -7.4238 -4.4473 3.6420
N -3.8572 -2.8885 -0.2057
N -5.8490 -1.6491 -8.6130
Ca -9.8093 -5.4863 2.2854
Ca -8.4614 -6.6517 -5.2686
Ca -7.4337 -5.6740 -0.1959
Ca -4.7987 -4.3115 1.4017
Ca -10.2945 -3.7022 -5.9413
Ca -7.4756 -1.9597 -6.8438
S -9.0615 -7.1319 -2.4367
Ca -7.7561 -3.5021 -3.8614
N -12.5882 -5.0797 -6.0180
Ca -3.1701 -6.8515 -1.1814
Ca 1.2000 -4.0356 -1.6713
S -4.4031 -3.4217 -4.6859
N -9.6554 -4.8519 -4.1172
Ca -3.3259 -6.1817 -5.3480
N -5.7232 -2.8495 -5.3252
N -3.8092 -5.7017 -3.0054
Ca -3.6553 -5.0673 -9.4080
Ca -8.6659 -6.2422 -8.5244
N -0.7184 -5.0035 -4.9411
Ca -10.1387 -4.3719 -1.7746
N -7.3646 -3.6204 -1.4701
N -8.6163 -3.9316 -7.6540
N -3.6857 -2.4499 -3.6762
Ca -5.9890 -8.5939 -0.2788
N -0.8764 -5.4739 -1.1047
N -4.8483 -6.6221 0.5314
N -9.6074 -7.6651 -6.9169
Ca -5.0033 -3.9020 -1.8540
N -7.7415 -7.7041 -1.7974
Ca -14.6646 -6.5180 -5.4513
```

Calculated formation energy = -0.763 eV per atom
Total magnetization = 0.005 μB per cell
Symmetry = Pbcn, No. 60

The following is a PBE calculation of crystalline Ca4SN4 at its relaxed geometry, from Materials Project.

Geometry as extended XYZ:
```
18
Lattice="6.1992 -0.2368 0.5415 2.0584 5.8182 -0.6616 2.3368 1.1918 8.2265" Properties=species:S:1:pos:R:3 pbc="T T T"
N 3.7989 5.8299 6.7190
Ca 4.7109 0.9697 0.2529
N 8.8141 4.8998 5.0072
Ca 6.7049 3.4903 1.3496
Ca 4.8224 6.3734 4.1892
N 2.8319 2.6779 0.8201
S 2.0534 1.4325 1.5883
Ca 3.8896 3.2830 6.7568
N 1.7803 1.8734 3.0992
Ca 5.7720 0.3998 3.9172
S 8.5410 5.3407 6.5181
Ca 6.7733 3.3713 4.8278
N 4.6572 2.1178 5.0246
N 7.7625 4.0953 7.2863
N 6.7955 0.9433 1.3874
Ca 3.8211 3.4019 3.2786
N 5.9372 4.6554 3.0818
Ca 5.8836 5.8035 7.8535
```

Calculated formation energy = -0.870 eV per atom
Total magnetization = 0.000 μB per cell
Symmetry = P-1, No. 2
Polymorph energy (0 for the lowest one) = 0.0000 eV/atom

The following is a PBE calculation of crystalline Ca4SN4 at its relaxed geometry, from Materials Project.

Geometry as extended XYZ:
```
36
Lattice="-10.7760 1.7207 4.0202 -1.3347 -1.1582 -3.0819 -0.2295 -13.6828 5.2414" Properties=species:S:1:pos:R:3 pbc="T T T"
Ca -7.7982 -7.1689 2.9999
Ca -1.5672 -2.4442 0.5734
N -10.6429 -3.3552 4.8463
Ca -5.3490 -9.3857 2.7723
N -7.1282 -11.4618 4.3231
Ca -9.9289 -7.3388 6.0341
Ca -9.8329 0.7014 2.9710
Ca -10.7730 -10.6761 5.6063
Ca -7.7422 -1.5139 0.8505
N -4.0887 -11.5661 3.0459
N -3.1049 -0.5172 0.5152
N -1.6973 -9.7650 1.3334
S -7.8230 -12.6232 5.0604
N -11.7919 -0.6975 2.2975
N -5.2120 -1.6584 1.8566
Ca -2.0315 -10.5375 3.8161
N -9.4466 -8.9087 4.3676
S -9.9907 -4.7317 5.0811
N -8.5853 -5.1615 4.6340
S -4.5172 -0.4971 1.1193
N -9.2353 -12.6031 5.6645
N -6.4667 -5.3037 1.7223
Ca -10.3087 -2.5827 2.3636
S -2.3495 -8.3886 1.0986
Ca -4.5980 -11.6064 5.3292
N -2.8936 -4.2116 1.8121
Ca -7.4119 -9.2193 5.6508
N -5.8735 -7.8166 4.4574
N -8.2515 -1.5542 3.1338
Ca -6.9913 -3.7346 3.4074
Ca -2.4113 -5.7815 0.1456
Ca -2.5073 -13.8216 3.2087
Ca -4.9283 -3.9009 0.5289
N -3.7550 -7.9588 1.5457
N -0.5483 -12.4228 3.8822
Ca -4.5420 -5.9513 3.1798
```

Calculated formation energy = -0.847 eV per atom
Total magnetization = 0.001 μB per cell
Symmetry = Pnma, No. 62
Polymorph energy (0 for the lowest one) = 0.0236 eV/atom